(1)
The following is a DFT calculation (r2SCAN) of Ca2GePd2 after structural relaxation.

Calculated values
ΔE_f   -815 meV per atom
SG   No. 43
E_tot   -15.589 eV/atom

a = 8.229 Å, b = 5.713 Å, c = 9.212 Å
α = 61.77°, β = 37.71°, γ = 80.52°
Fractional positions:
Ca 0.119 0.881 0.288
Ca 0.538 0.962 0.369
Ca 0.881 0.119 0.712
Ca 0.962 0.538 0.131
Ge 0.260 0.260 0.740
Ge 0.510 0.510 0.990
Pd 0.463 0.537 0.285
Pd 0.535 0.965 0.713
Pd 0.537 0.463 0.715
Pd 0.965 0.535 0.787



(2)
The following is a DFT calculation (r2SCAN) of ScMn6Sn6 after structural relaxation.

Calculated values
ΔE_f   -219 meV per atom
SG   No. 191
E_tot   -19.294 eV/atom

a = 5.608 Å, b = 5.608 Å, c = 9.094 Å
α = 90.00°, β = 90.00°, γ = 120.00°
Fractional positions:
Sc 0.000 0.000 0.000
Mn 0.000 0.500 0.247
Mn 0.000 0.500 0.753
Mn 0.500 0.000 0.247
Mn 0.500 0.000 0.753
Mn 0.500 0.500 0.247
Mn 0.500 0.500 0.753
Sn 0.000 0.000 0.329
Sn 0.000 0.000 0.671
Sn 0.333 0.667 0.000
Sn 0.333 0.667 0.500
Sn 0.667 0.333 0.000
Sn 0.667 0.333 0.500



(3)
The following is a DFT calculation (r2SCAN) of CeCoGe after structural relaxation.

Calculated values
ΔE_f   -582 meV per atom
SG   No. 129
E_tot   -19.898 eV/atom

a = 4.260 Å, b = 4.260 Å, c = 6.538 Å
α = 90.00°, β = 90.00°, γ = 90.00°
Fractional positions:
Ce 0.250 0.250 0.192
Ce 0.750 0.750 0.808
Co 0.250 0.750 0.500
Co 0.750 0.250 0.500
Ge 0.250 0.250 0.688
Ge 0.750 0.750 0.312